Here is a relaxed structure of SrNi5As3 from the Materials Project. Energies are from meta-GGA r2SCAN.

Cell lengths 6.351, 6.351, 11.847 Å; angles 90.00, 90.00, 145.81 degrees
Atoms (fractional coordinates):
1 Sr 0.164 0.836 0.750
2 Sr 0.836 0.164 0.250
3 Ni 0.000 0.000 0.000
4 Ni 0.000 0.000 0.500
5 Ni 0.193 0.807 0.067
6 Ni 0.193 0.807 0.433
7 Ni 0.452 0.548 0.645
8 Ni 0.452 0.548 0.855
9 Ni 0.548 0.452 0.145
10 Ni 0.548 0.452 0.355
11 Ni 0.807 0.193 0.567
12 Ni 0.807 0.193 0.933
13 As 0.113 0.887 0.250
14 As 0.379 0.621 0.040
15 As 0.379 0.621 0.460
16 As 0.621 0.379 0.540
17 As 0.621 0.379 0.960
18 As 0.887 0.113 0.750

Calculated values
Space-group type: Cmcm (63)

Here is a relaxed structure of SrNi2As2 from the Materials Project. Energies are from meta-GGA r2SCAN.

Cell lengths 6.205, 6.205, 6.205 Å; angles 141.68, 141.68, 55.32 degrees
Atoms (fractional coordinates):
1 Sr 0.000 0.000 0.000
2 Ni 0.250 0.750 0.500
3 Ni 0.750 0.250 0.500
4 As 0.355 0.355 0.000
5 As 0.645 0.645 0.000

Calculated values
Space-group type: I4/mmm (139)

Here is a relaxed structure of TbNi4As2 from the Materials Project. Energies are from meta-GGA r2SCAN.

Cell lengths 7.211, 7.211, 3.740 Å; angles 90.00, 90.00, 90.00 degrees
Atoms (fractional coordinates):
1 Tb 0.000 0.000 0.000
2 Tb 0.500 0.500 0.500
3 Ni 0.088 0.347 0.500
4 Ni 0.153 0.588 0.000
5 Ni 0.347 0.088 0.500
6 Ni 0.412 0.847 0.000
7 Ni 0.588 0.153 0.000
8 Ni 0.653 0.912 0.500
9 Ni 0.847 0.412 0.000
10 Ni 0.912 0.653 0.500
11 As 0.218 0.782 0.500
12 As 0.282 0.282 0.000
13 As 0.718 0.718 0.000
14 As 0.782 0.218 0.500

Calculated values
Space-group type: P4_2/mnm (136)

no.,energy of formation from the pure elements (eV per atom)
1,-0.545
2,-0.721
3,-0.651